1 | The following is a DFT calculation (GGA-PBE) of an optimized crystal structure of La2MgTi2Ag2O8.

Structure (CIF):
```
data_La2MgTi2Ag2O8
_space_group_name_H-M_alt 'P -4 m 2'
_space_group_IT_number 115
_cell_length_a 3.7434
_cell_length_b 3.7434
_cell_length_c 15.5182
_cell_angle_alpha 90.00
_cell_angle_beta 90.00
_cell_angle_gamma 90.00
loop_
_space_group_symop_operation_xyz
'x,y,z'
'y,-x,-z'
'-x,-y,z'
'-y,x,-z'
'-x,y,z'
'-y,-x,-z'
'x,-y,z'
'y,x,-z'
loop_
_atom_site_label
_atom_site_type_symbol
_atom_site_fract_x
_atom_site_fract_y
_atom_site_fract_z
La1 La 0.0000 0.5000 0.0941
Mg1 Mg 0.0000 0.0000 0.5000
Ti1 Ti 0.0000 0.5000 0.7598
Ag1 Ag 0.0000 0.5000 0.3719
O1 O 0.0000 0.0000 0.2054
O2 O 0.0000 0.5000 0.6438
O3 O 0.0000 0.5000 0.9408
O4 O 0.5000 0.5000 0.2059
```

Values from the calculation:
The value obtained for the size of the total moment is 0.0 μB per formula unit. Its crystal system is tetragonal.

2 | The following is a DFT calculation (GGA-PBE) of an optimized crystal structure of La2MgTi2Ag2O8.

Structure (CIF):
```
data_La2MgTi2Ag2O8
_space_group_name_H-M_alt 'P -4 m 2'
_space_group_IT_number 115
_cell_length_a 3.7152
_cell_length_b 3.7152
_cell_length_c 18.1033
_cell_angle_alpha 90.00
_cell_angle_beta 90.00
_cell_angle_gamma 90.00
loop_
_space_group_symop_operation_xyz
'x,y,z'
'y,-x,-z'
'-x,-y,z'
'-y,x,-z'
'-x,y,z'
'-y,-x,-z'
'x,-y,z'
'y,x,-z'
loop_
_atom_site_label
_atom_site_type_symbol
_atom_site_fract_x
_atom_site_fract_y
_atom_site_fract_z
La1 La 0.0000 0.5000 0.1436
Mg1 Mg 0.5000 0.5000 0.0000
Ti1 Ti 0.0000 0.5000 0.7334
Ag1 Ag 0.0000 0.5000 0.4729
O1 O 0.0000 0.0000 0.2226
O2 O 0.0000 0.5000 0.6421
O3 O 0.0000 0.5000 0.9359
O4 O 0.5000 0.5000 0.2222
```

Values from the calculation:
The value obtained for the size of the total moment is 0.0 μB per formula unit. Its crystal system is tetragonal.

3 | The following is a DFT calculation (GGA-PBE) of an optimized crystal structure of La2MgTi2Ag2O8.

Structure (CIF):
```
data_La2MgTi2Ag2O8
_space_group_name_H-M_alt 'P m m 2'
_space_group_IT_number 25
_cell_length_a 3.7434
_cell_length_b 3.7744
_cell_length_c 15.9761
_cell_angle_alpha 90.00
_cell_angle_beta 90.00
_cell_angle_gamma 90.00
loop_
_space_group_symop_operation_xyz
'x,y,z'
'-x,-y,z'
'-x,y,z'
'x,-y,z'
loop_
_atom_site_label
_atom_site_type_symbol
_atom_site_fract_x
_atom_site_fract_y
_atom_site_fract_z
La1 La 0.0000 0.0000 0.0000
La2 La 0.5000 0.5000 0.1826
Mg1 Mg 0.5000 0.0000 0.4800
Ti1 Ti 0.0000 0.0000 0.3174
Ti2 Ti 0.5000 0.5000 0.8611
Ag1 Ag 0.0000 0.0000 0.6637
Ag2 Ag 0.5000 0.5000 0.6106
O1 O 0.0000 0.0000 0.1574
O2 O 0.0000 0.0000 0.4331
O3 O 0.0000 0.5000 0.2894
O4 O 0.0000 0.5000 0.8979
O5 O 0.5000 0.0000 0.2967
O6 O 0.5000 0.0000 0.8976
O7 O 0.5000 0.5000 0.0390
O8 O 0.5000 0.5000 0.7510
```

Values from the calculation:
The value obtained for the size of the total moment is 0.0 μB per formula unit. Its crystal system is orthorhombic.

Tell me which of them is the most stable. Sure, it is 3.

1 | The following is a DFT calculation (GGA-PBE) of an optimized crystal structure of La2MgTi3Ag2O10.

Structure (CIF):
```
data_La2MgTi3Ag2O10
_space_group_name_H-M_alt 'I -4 m 2'
_space_group_IT_number 119
_space_group_name_Hall 'I -4 -2'
_cell_length_a 3.8621
_cell_length_b 3.8621
_cell_length_c 32.5136
_cell_angle_alpha 90.00
_cell_angle_beta 90.00
_cell_angle_gamma 90.00
loop_
_atom_site_label
_atom_site_type_symbol
_atom_site_fract_x
_atom_site_fract_y
_atom_site_fract_z
La1 La 0.0000 0.0000 0.0673
Mg1 Mg 0.0000 0.5000 0.7500
Ti1 Ti 0.0000 0.0000 0.3676
Ti2 Ti 0.0000 0.0000 0.5000
Ag1 Ag 0.0000 0.0000 0.1909
O1 O 0.0000 0.0000 0.3126
O2 O 0.0000 0.0000 0.4399
O3 O 0.0000 0.5000 0.0000
O4 O 0.0000 0.5000 0.1186
O5 O 0.0000 0.5000 0.6186
```

Values from the calculation:
The value obtained for the size of the total moment is 0.0 μB per formula unit. Its crystal system is tetragonal.

2 | The following is a DFT calculation (GGA-PBE) of an optimized crystal structure of La2MgTi3Ag2O10.

Structure (CIF):
```
data_La2MgTi3Ag2O10
_space_group_name_H-M_alt 'I 4/m m m'
_space_group_IT_number 139
_space_group_name_Hall '-I 4 2'
_cell_length_a 3.8948
_cell_length_b 3.8948
_cell_length_c 37.5976
_cell_angle_alpha 90.00
_cell_angle_beta 90.00
_cell_angle_gamma 90.00
loop_
_atom_site_label
_atom_site_type_symbol
_atom_site_fract_x
_atom_site_fract_y
_atom_site_fract_z
La1 La 0.0000 0.0000 0.0856
Mg1 Mg 0.0000 0.0000 0.0000
Ti1 Ti 0.0000 0.0000 0.3597
Ti2 Ti 0.0000 0.0000 0.5000
Ag1 Ag 0.0000 0.0000 0.2440
O1 O 0.0000 0.0000 0.3159
O2 O 0.0000 0.0000 0.4458
O3 O 0.0000 0.5000 0.0000
O4 O 0.0000 0.5000 0.1218
```

Values from the calculation:
The value obtained for the size of the total moment is 0.0 μB per formula unit. Its crystal system is tetragonal.

Tell me which of them is the most stable. Sure, it is 1.